# Li6CrNiP2C2O14, relaxed, DFT GGA+U
# VASP energy: -6.38 eV per atom
data_Li6CrNiP2C2O14
_cell_length_a 4.996
_cell_length_b 6.444
_cell_length_c 8.515
_cell_angle_alpha 90.00
_cell_angle_beta 94.60
_cell_angle_gamma 90.00
_symmetry_space_group_name_H-M 'P 1 m 1'
_symmetry_Int_Tables_number 6
loop_
_symmetry_equiv_pos_as_xyz
'x,y,z'
'x,-y,z'
loop_
_atom_site_label
_atom_site_type_symbol
_atom_site_fract_x
_atom_site_fract_y
_atom_site_fract_z
_atom_site_occupancy
Li1 Li 0.000 0.000 0.000 1
Li2 Li 0.016 0.271 0.628 1
Li3 Li 0.513 0.229 0.177 1
Li4 Li 0.532 0.500 0.800 1
Cr1 Cr 0.978 0.500 0.238 1
Ni1 Ni 0.559 0.000 0.570 1
P1 P 0.046 0.000 0.319 1
P2 P 0.487 0.500 0.492 1
C1 C 0.061 0.500 0.935 1
C2 C 0.468 0.000 0.864 1
O1 O 0.132 0.500 0.792 1
O2 O 0.175 0.500 0.481 1
O3 O 0.246 0.500 0.053 1
O4 O 0.281 0.000 0.748 1
O5 O 0.360 0.000 0.339 1
O6 O 0.405 0.000 0.009 1
O7 O 0.583 0.500 0.323 1
O8 O 0.597 0.311 0.592 1
O9 O 0.716 0.000 0.829 1
O10 O 0.813 0.500 0.964 1
O11 O 0.940 0.000 0.483 1
O12 O 0.941 0.186 0.214 1


# LiCrCO4, relaxed, DFT GGA+U
# VASP energy: -7.29 eV per atom
data_LiCrCO4
_cell_length_a 9.385
_cell_length_b 3.105
_cell_length_c 9.338
_cell_angle_alpha 90.00
_cell_angle_beta 90.00
_cell_angle_gamma 90.00
_symmetry_space_group_name_H-M 'P n m a'
_symmetry_Int_Tables_number 62
loop_
_symmetry_equiv_pos_as_xyz
'x,y,z'
'-x,-y,-z'
'-x+1/2,-y,z+1/2'
'x+1/2,y,-z+1/2'
'x+1/2,-y+1/2,-z+1/2'
'-x+1/2,y+1/2,z+1/2'
'-x,y+1/2,-z'
'x,-y+1/2,z'
loop_
_atom_site_label
_atom_site_type_symbol
_atom_site_fract_x
_atom_site_fract_y
_atom_site_fract_z
_atom_site_occupancy
Li1 Li 0.092 0.250 0.193 1
Cr1 Cr 0.120 0.250 0.560 1
C1 C 0.167 0.250 0.868 1
O1 O 0.000 0.250 0.387 1
O2 O 0.034 0.250 0.873 1
O3 O 0.240 0.250 0.749 1
O4 O 0.241 0.250 0.993 1


# Li5CrC4O12, relaxed, DFT GGA+U
# VASP energy: -6.90 eV per atom
data_Li5CrC4O12
_cell_length_a 11.359
_cell_length_b 9.259
_cell_length_c 8.482
_cell_angle_alpha 90.00
_cell_angle_beta 92.02
_cell_angle_gamma 90.00
_symmetry_space_group_name_H-M 'P 1 21/c 1'
_symmetry_Int_Tables_number 14
loop_
_symmetry_equiv_pos_as_xyz
'x,y,z'
'-x,-y,-z'
'-x,y+1/2,-z+1/2'
'x,-y+1/2,z+1/2'
loop_
_atom_site_label
_atom_site_type_symbol
_atom_site_fract_x
_atom_site_fract_y
_atom_site_fract_z
_atom_site_occupancy
Li1 Li 0.067 0.132 0.061 1
Li2 Li 0.111 0.633 0.067 1
Li3 Li 0.217 0.105 0.707 1
Li4 Li 0.352 0.176 0.017 1
Li5 Li 0.400 0.588 0.058 1
Cr1 Cr 0.267 0.621 0.716 1
C1 C 0.016 0.611 0.753 1
C2 C 0.204 0.134 0.376 1
C3 C 0.284 0.650 0.388 1
C4 C 0.482 0.151 0.746 1
O1 O 0.004 0.177 0.618 1
O2 O 0.041 0.503 0.292 1
O3 O 0.097 0.664 0.656 1
O4 O 0.197 0.229 0.898 1
O5 O 0.198 0.041 0.486 1
O6 O 0.220 0.088 0.229 1
O7 O 0.257 0.720 0.934 1
O8 O 0.294 0.635 0.238 1
O9 O 0.301 0.549 0.490 1
O10 O 0.388 0.149 0.657 1
O11 O 0.428 0.573 0.806 1
O12 O 0.493 0.219 0.877 1


# Li4Cr3C6O18, relaxed, DFT GGA+U
# VASP energy: -7.31 eV per atom
data_Li4Cr3C6O18
_cell_length_a 4.709
_cell_length_b 6.067
_cell_length_c 12.081
_cell_angle_alpha 100.54
_cell_angle_beta 90.04
_cell_angle_gamma 112.65
_symmetry_space_group_name_H-M 'P -1'
_symmetry_Int_Tables_number 2
loop_
_symmetry_equiv_pos_as_xyz
'x,y,z'
'-x,-y,-z'
loop_
_atom_site_label
_atom_site_type_symbol
_atom_site_fract_x
_atom_site_fract_y
_atom_site_fract_z
_atom_site_occupancy
Li1 Li 0.101 0.193 0.113 1
Li2 Li 0.257 0.502 0.571 1
Cr1 Cr 0.165 0.328 0.832 1
Cr2 Cr 0.500 0.000 0.500 1
C1 C 0.044 0.096 0.363 1
C2 C 0.282 0.571 0.301 1
C3 C 0.380 0.755 0.030 1
O1 O 0.100 0.501 0.208 1
O2 O 0.109 0.991 0.267 1
O3 O 0.113 0.775 0.038 1
O4 O 0.188 0.625 0.397 1
O5 O 0.222 0.895 0.627 1
O6 O 0.259 0.200 0.446 1
O7 O 0.415 0.154 0.886 1
O8 O 0.440 0.427 0.706 1
O9 O 0.443 0.652 0.934 1


# Li2Cr3C6O18, relaxed, DFT GGA+U
# VASP energy: -7.45 eV per atom
data_Li2Cr3C6O18
_cell_length_a 4.724
_cell_length_b 6.030
_cell_length_c 12.154
_cell_angle_alpha 100.99
_cell_angle_beta 90.07
_cell_angle_gamma 112.99
_symmetry_space_group_name_H-M 'P -1'
_symmetry_Int_Tables_number 2
loop_
_symmetry_equiv_pos_as_xyz
'x,y,z'
'-x,-y,-z'
loop_
_atom_site_label
_atom_site_type_symbol
_atom_site_fract_x
_atom_site_fract_y
_atom_site_fract_z
_atom_site_occupancy
Li1 Li 0.077 0.151 0.231 1
Cr1 Cr 0.000 0.000 0.500 1
Cr2 Cr 0.334 0.671 0.165 1
C1 C 0.132 0.256 0.968 1
C2 C 0.212 0.417 0.699 1
C3 C 0.460 0.924 0.635 1
O1 O 0.047 0.558 0.285 1
O2 O 0.062 0.345 0.065 1
O3 O 0.072 0.839 0.118 1
O4 O 0.260 0.315 0.603 1
O5 O 0.266 0.842 0.549 1
O6 O 0.271 0.087 0.370 1
O7 O 0.385 0.009 0.733 1
O8 O 0.398 0.246 0.959 1
O9 O 0.430 0.511 0.780 1


# LiCr2C4O12, relaxed, DFT GGA+U
# VASP energy: -7.42 eV per atom
data_LiCr2C4O12
_cell_length_a 5.179
_cell_length_b 6.550
_cell_length_c 7.665
_cell_angle_alpha 88.76
_cell_angle_beta 88.35
_cell_angle_gamma 67.21
_symmetry_space_group_name_H-M 'P 1'
_symmetry_Int_Tables_number 1
loop_
_symmetry_equiv_pos_as_xyz
'x,y,z'
loop_
_atom_site_label
_atom_site_type_symbol
_atom_site_fract_x
_atom_site_fract_y
_atom_site_fract_z
_atom_site_occupancy
Li1 Li 0.000 0.000 0.000 1
Cr1 Cr 0.211 0.169 0.448 1
Cr2 Cr 0.709 0.656 0.952 1
C1 C 0.455 0.810 0.689 1
C2 C 0.478 0.032 0.181 1
C3 C 0.964 0.297 0.715 1
C4 C 0.968 0.527 0.213 1
O1 O 0.080 0.583 0.077 1
O2 O 0.105 0.460 0.357 1
O3 O 0.218 0.052 0.196 1
O4 O 0.222 0.277 0.690 1
O5 O 0.321 0.788 0.830 1
O6 O 0.329 0.877 0.542 1
O7 O 0.577 0.087 0.317 1
O8 O 0.628 0.965 0.041 1
O9 O 0.712 0.544 0.201 1
O10 O 0.720 0.755 0.701 1
O11 O 0.836 0.342 0.865 1
O12 O 0.851 0.253 0.579 1


Number 1: formation enthalpy at 0 K -2.10 eV per atom, ρ 2.81 g cm⁻³. Number 2: formation enthalpy at 0 K -2.17 eV per atom, ρ 3.29 g cm⁻³. Number 3: formation enthalpy at 0 K -2.11 eV per atom, ρ 2.43 g cm⁻³. Number 4: formation enthalpy at 0 K -2.06 eV per atom, ρ 2.89 g cm⁻³. Number 5: formation enthalpy at 0 K -1.97 eV per atom, ρ 2.82 g cm⁻³. Number 6: formation enthalpy at 0 K -1.88 eV per atom, ρ 2.43 g cm⁻³.